Record 1
DFT (PBE+U) results for a relaxed CoO2 crystal.

```
CoO2
1.0
2.318 -0.073 -1.595
2.146 -3.026 3.258
-3.724 -8.150 -5.070
Co O
4 8
Direct
0.499 0.501 0.002
0.999 0.001 0.502
0.499 0.501 0.502
0.999 0.001 0.002
0.999 0.334 0.411
0.998 0.333 0.094
0.498 0.168 0.593
0.498 0.833 0.093
0.499 0.169 0.911
0.998 0.668 0.593
0.499 0.834 0.411
0.999 0.669 0.911
```

Output
**Total energy after the MP2020 corrections**: -6.7413 eV per atom
**ΔH_f (0 K)**: -1.07 eV/atom

***

Record 2
DFT (PBE+U) results for a relaxed CoO2 crystal.

```
CoO2
1.0
-4.748 4.748 1.437
4.748 -4.748 1.437
4.748 4.748 -1.437
Co O
4 8
Direct
0.150 0.666 0.816
0.334 0.150 0.484
0.666 0.850 0.516
0.850 0.334 0.184
0.041 0.335 0.376
0.297 0.346 0.643
0.335 0.959 0.294
0.346 0.703 0.049
0.654 0.297 0.951
0.665 0.041 0.706
0.703 0.654 0.357
0.959 0.665 0.624
```

Output
**Total energy after the MP2020 corrections**: -6.7489 eV per atom
**ΔH_f (0 K)**: -1.08 eV/atom

***

| no. | calculated volume (Å³ per atom) |
| --- | --- |
| 1 | 11.92 |
| 2 | 10.80 |